Record 1
# C

A relaxed structure of C (r²SCAN, the Materials Project database).

## Properties
SG   P6_3/mmc (194)
E above lowest polymorph   0.139 eV/atom

a b c (Å): 2.503 2.503 4.169
angles (deg): 90.00 90.00 120.00
Element x y z (fractional)
C (0.333, 0.667, 0.063)
C (0.333, 0.667, 0.437)
C (0.667, 0.333, 0.563)
C (0.667, 0.333, 0.937)

***

Record 2
# C

A relaxed structure of C (r²SCAN, the Materials Project database).

## Properties
SG   Fd-3m (227)
E above lowest polymorph   0.112 eV/atom

a b c (Å): 2.518 2.518 2.518
angles (deg): 60.00 60.00 60.00
Element x y z (fractional)
C (0.125, 0.125, 0.125)
C (0.875, 0.875, 0.875)

***

Record 3
# C

A relaxed structure of C (r²SCAN, the Materials Project database).

## Properties
SG   R-3m (166)
E above lowest polymorph   0.002 eV/atom

a b c (Å): 18.293 18.293 18.293
angles (deg): 7.70 7.70 7.70
Element x y z (fractional)
C (0.032, 0.032, 0.032)
C (0.095, 0.095, 0.095)
C (0.239, 0.239, 0.239)
C (0.365, 0.365, 0.365)
C (0.635, 0.635, 0.635)
C (0.761, 0.761, 0.761)
C (0.905, 0.905, 0.905)
C (0.968, 0.968, 0.968)

***

Results for total moment: 0.00, 0.00, 0.00 (in μB/f.u., following the order of the records).
Results for raw total energy: -9.8078, -9.8350, -9.9451 (in eV per atom, following the order of the records).